Below is crystalline Na5Ca7Zr2Ti2Si8O30F6 at its relaxed geometry, with properties calculated at the PBE-GGA level.

Output
Energy of formation from the pure elements: -204.402 eV per formula unit

Cell: 7.3011 10.2157 11.5256 Å, 68.12 89.98 79.27°
Last column: nearest neighbours and their distance in Å.
Space group P-1 (No. 2)
Symmetry-distinct sites (fractional):
Na (0.0000, 0.0000, 0.0000) (multiplicity 1)  2 F 2.25
Na (0.0894, 0.6397, 0.7915) (multiplicity 2)  1 F 2.34, 3 O 2.37-2.56
Na (0.2486, 0.0007, 0.2455) (multiplicity 2)  3 F 2.34-2.44, 3 O 2.36-2.61
Ca (0.0000, 0.0000, 0.5000) (multiplicity 1)  2 F 2.22, 2 O 2.46
Ca (0.0870, 0.6330, 0.2875) (multiplicity 2)  1 F 2.29, 4 O 2.34-2.47
Ca (0.2658, 0.9874, 0.7578) (multiplicity 2)  3 F 2.26-2.33, 3 O 2.37-2.41
Ca (0.4077, 0.3734, 0.7095) (multiplicity 2)  5 O 2.30-2.49, 1 F 2.40
Zr (0.4125, 0.3482, 0.2220) (multiplicity 2)  6 O 2.05-2.28
Ti (0.5000, 0.0000, 0.0000) (multiplicity 1)  4 O 1.95-2.04, 2 F 2.07
Ti (0.5000, 0.0000, 0.5000) (multiplicity 1)  6 O 1.98-2.02
Si (0.1508, 0.2848, 0.4874) (multiplicity 2)  4 O 1.61-1.67
Si (0.1575, 0.2879, 0.9887) (multiplicity 2)  4 O 1.62-1.66
Si (0.2913, 0.7092, 0.0087) (multiplicity 2)  4 O 1.64-1.65
Si (0.2937, 0.7217, 0.5088) (multiplicity 2)  4 O 1.61-1.68
O (0.0612, 0.7368, 0.9919) (multiplicity 2)  2 Si 1.65-1.66
O (0.0637, 0.7446, 0.5268) (multiplicity 2)  2 Si 1.67-1.68
O (0.1645, 0.3577, 0.5882) (multiplicity 2)  1 Si 1.61
O (0.1660, 0.3877, 0.8426) (multiplicity 2)  1 Si 1.62
O (0.1963, 0.3784, 0.3443) (multiplicity 2)  1 Si 1.64
O (0.2097, 0.3507, 0.0941) (multiplicity 2)  1 Si 1.65
O (0.2702, 0.1166, 0.5392) (multiplicity 2)  1 Si 1.66
O (0.2802, 0.1227, 0.0276) (multiplicity 2)  1 Si 1.65
O (0.3229, 0.8893, 0.4637) (multiplicity 2)  1 Si 1.65
O (0.3295, 0.8713, 0.9792) (multiplicity 2)  1 Si 1.64
O (0.3382, 0.6552, 0.4032) (multiplicity 2)  1 Si 1.61
O (0.3588, 0.5933, 0.1519) (multiplicity 2)  1 Si 1.64
O (0.3732, 0.6607, 0.8956) (multiplicity 2)  1 Si 1.64
O (0.3919, 0.6239, 0.6503) (multiplicity 2)  1 Si 1.64
O (0.4732, 0.1296, 0.3206) (multiplicity 2)  1 Ti 1.98, 1 Zr 2.05
F (0.0090, 0.8798, 0.2083) (multiplicity 2)  2 Na 2.25-2.44, 2 Ca 2.29-2.32
F (0.0383, 0.8917, 0.7069) (multiplicity 2)  2 Ca 2.22-2.26, 2 Na 2.34
F (0.4633, 0.1161, 0.8083) (multiplicity 2)  1 Ti 2.07